# Ca21Mn4Sb18

A relaxed Ca21Mn4Sb18 crystal (PBE, the Materials Project database).

a = 12.1595 Å, b = 12.1595 Å, c = 16.8503 Å
α = 91.91°, β = 91.91°, γ = 90.15°
Closest atoms and distances in Å follow each position.
Element x y z (fractional)
1 Ca 0.0122 0.1835 0.0642  6 Sb 3.15-3.38
2 Ca 0.0192 0.2576 0.4328  3 Sb 3.07-3.37
3 Ca 0.0723 0.9277 0.7500  4 Sb 3.05-3.32
4 Ca 0.0768 0.3109 0.8776  3 Sb 3.07-3.39
5 Ca 0.0776 0.5890 0.7596  2 Sb 3.05-3.13, 1 Mn 3.30
6 Ca 0.0943 0.2698 0.6561  6 Sb 3.08-3.35
7 Ca 0.1835 0.0122 0.5642  6 Sb 3.15-3.38
8 Ca 0.1848 0.4394 0.1185  6 Sb 3.09-3.42
9 Ca 0.2341 0.5017 0.5628  5 Sb 3.10-3.36
10 Ca 0.2365 0.7522 0.4222  5 Sb 3.18-3.55, 2 Mn 3.38-3.40
11 Ca 0.2422 0.4198 0.3410  5 Sb 3.04-3.36
12 Ca 0.2478 0.7635 0.0778  5 Sb 3.18-3.55, 2 Mn 3.38-3.40
13 Ca 0.2576 0.0192 0.9328  3 Sb 3.07-3.37
14 Ca 0.2698 0.0943 0.1561  6 Sb 3.08-3.35
15 Ca 0.3109 0.0768 0.3776  3 Sb 3.07-3.39
16 Ca 0.3234 0.5047 0.9291  6 Sb 3.18-3.51
17 Ca 0.4110 0.9224 0.7404  2 Sb 3.05-3.13, 1 Mn 3.30
18 Ca 0.4198 0.2422 0.8410  5 Sb 3.04-3.36
19 Ca 0.4394 0.1848 0.6185  6 Sb 3.09-3.42
20 Ca 0.4953 0.6766 0.5709  6 Sb 3.18-3.51
21 Ca 0.4983 0.7659 0.9372  5 Sb 3.10-3.36
22 Ca 0.5017 0.2341 0.0628  5 Sb 3.10-3.36
23 Ca 0.5047 0.3234 0.4291  6 Sb 3.18-3.51
24 Ca 0.5606 0.8152 0.3815  6 Sb 3.09-3.42
25 Ca 0.5802 0.7578 0.1590  5 Sb 3.04-3.36
26 Ca 0.5890 0.0776 0.2596  2 Sb 3.05-3.13, 1 Mn 3.30
27 Ca 0.6766 0.4953 0.0709  6 Sb 3.18-3.51
28 Ca 0.6891 0.9232 0.6224  3 Sb 3.07-3.39
29 Ca 0.7302 0.9057 0.8439  6 Sb 3.08-3.35
30 Ca 0.7424 0.9808 0.0672  3 Sb 3.07-3.37
31 Ca 0.7522 0.2365 0.9222  5 Sb 3.18-3.55, 2 Mn 3.38-3.40
32 Ca 0.7578 0.5802 0.6590  5 Sb 3.04-3.36
33 Ca 0.7635 0.2478 0.5778  5 Sb 3.18-3.55, 2 Mn 3.38-3.40
34 Ca 0.7659 0.4983 0.4372  5 Sb 3.10-3.36
35 Ca 0.8152 0.5606 0.8815  6 Sb 3.09-3.42
36 Ca 0.8165 0.9878 0.4358  6 Sb 3.15-3.38
37 Ca 0.9057 0.7302 0.3439  6 Sb 3.08-3.35
38 Ca 0.9224 0.4110 0.2404  2 Sb 3.05-3.13, 1 Mn 3.30
39 Ca 0.9232 0.6891 0.1224  3 Sb 3.07-3.39
40 Ca 0.9277 0.0723 0.2500  4 Sb 3.05-3.32
41 Ca 0.9808 0.7424 0.5672  3 Sb 3.07-3.37
42 Ca 0.9878 0.8165 0.9358  6 Sb 3.15-3.38
43 Mn 0.1400 0.8600 0.2500  4 Sb 2.78-2.80
44 Mn 0.3384 0.6616 0.7500  4 Sb 2.73-2.86, 1 Mn 2.76
45 Mn 0.3424 0.6576 0.2500  1 Mn 2.73, 4 Sb 2.75-2.86
46 Mn 0.4989 0.5011 0.7500  2 Mn 2.73-2.76, 4 Sb 2.77-2.80
47 Mn 0.5011 0.4989 0.2500  2 Mn 2.73-2.76, 4 Sb 2.77-2.80
48 Mn 0.6576 0.3424 0.7500  1 Mn 2.73, 4 Sb 2.75-2.86
49 Mn 0.6616 0.3384 0.2500  4 Sb 2.73-2.86, 1 Mn 2.76
50 Mn 0.8600 0.1400 0.7500  4 Sb 2.78-2.80
51 Sb 0.0382 0.5394 0.4232  1 Sb 2.97, 2 Ca 3.14-3.21
52 Sb 0.0535 0.9333 0.1063  1 Mn 2.78
53 Sb 0.0667 0.9465 0.3937  1 Mn 2.78
54 Sb 0.0755 0.5771 0.9642  1 Sb 2.94, 2 Ca 3.15-3.21
55 Sb 0.1096 0.2448 0.2462  7 Ca 3.04-3.39
56 Sb 0.1174 0.6309 0.2431  2 Mn 2.75-2.80
57 Sb 0.2292 0.7538 0.6244  1 Mn 2.73
58 Sb 0.2448 0.1096 0.7462  7 Ca 3.04-3.39
59 Sb 0.2462 0.7708 0.8756  1 Mn 2.73
60 Sb 0.2573 0.2602 0.5000  8 Ca 3.07-3.37
61 Sb 0.2602 0.2573 0.0000  8 Ca 3.07-3.37
62 Sb 0.2809 0.4332 0.7469  2 Mn 2.77-2.86
63 Sb 0.3691 0.8826 0.2569  2 Mn 2.75-2.80
64 Sb 0.4193 0.5684 0.1026  2 Mn 2.80-2.86, 1 Ca 3.12
65 Sb 0.4229 0.9245 0.5358  1 Sb 2.94, 2 Ca 3.15-3.21
66 Sb 0.4316 0.5807 0.3974  2 Mn 2.80-2.86, 1 Ca 3.12
67 Sb 0.4332 0.2809 0.2469  2 Mn 2.77-2.86
68 Sb 0.4606 0.9618 0.0768  1 Sb 2.97, 2 Ca 3.14-3.21
69 Sb 0.5394 0.0382 0.9232  1 Sb 2.97, 2 Ca 3.14-3.21
70 Sb 0.5668 0.7191 0.7531  2 Mn 2.77-2.86
71 Sb 0.5684 0.4193 0.6026  2 Mn 2.80-2.86, 1 Ca 3.12
72 Sb 0.5771 0.0755 0.4642  1 Sb 2.94, 2 Ca 3.15-3.21
73 Sb 0.5807 0.4316 0.8974  2 Mn 2.80-2.86, 1 Ca 3.12
74 Sb 0.6309 0.1174 0.7431  2 Mn 2.75-2.80
75 Sb 0.7191 0.5668 0.2531  2 Mn 2.77-2.86
76 Sb 0.7398 0.7427 0.0000  8 Ca 3.07-3.37
77 Sb 0.7427 0.7398 0.5000  8 Ca 3.07-3.37
78 Sb 0.7538 0.2292 0.1244  1 Mn 2.73
79 Sb 0.7552 0.8904 0.2538  7 Ca 3.04-3.39
80 Sb 0.7708 0.2462 0.3756  1 Mn 2.73
81 Sb 0.8826 0.3691 0.7569  2 Mn 2.75-2.80
82 Sb 0.8904 0.7552 0.7538  7 Ca 3.04-3.39
83 Sb 0.9245 0.4229 0.0358  1 Sb 2.94, 2 Ca 3.15-3.21
84 Sb 0.9333 0.0535 0.6063  1 Mn 2.78
85 Sb 0.9465 0.0667 0.8937  1 Mn 2.78
86 Sb 0.9618 0.4606 0.5768  1 Sb 2.97, 2 Ca 3.14-3.21

Total moment = 37.75 Bohr magnetons per cell
E_tot = -190.5 eV per formula unit
Corrected total energy (MP2020 scheme) = -387.87 eV for the cell shown


# K2LiTlBr6

A relaxed K2LiTlBr6 crystal (PBE, the Materials Project database).

a = 7.7837 Å, b = 7.7837 Å, c = 7.7837 Å
α = 60.00°, β = 60.00°, γ = 60.00°
Closest atoms and distances in Å follow each position.
Element x y z (fractional)
1 K 0.2500 0.2500 0.2500  12 Br 3.89
2 K 0.7500 0.7500 0.7500  12 Br 3.89
3 Li 0.0000 0.0000 0.0000  6 Br 2.73
4 Tl 0.5000 0.5000 0.5000  6 Br 2.78
5 Br 0.2477 0.2477 0.7523  1 Li 2.73, 1 Tl 2.78
6 Br 0.2477 0.7523 0.2477  1 Li 2.73, 1 Tl 2.78
7 Br 0.2477 0.7523 0.7523  1 Li 2.73, 1 Tl 2.78
8 Br 0.7523 0.2477 0.2477  1 Li 2.73, 1 Tl 2.78
9 Br 0.7523 0.2477 0.7523  1 Li 2.73, 1 Tl 2.78
10 Br 0.7523 0.7523 0.2477  1 Li 2.73, 1 Tl 2.78

Total moment = 0.00 Bohr magnetons per cell
E_tot = -28.0 eV per formula unit
Corrected total energy (MP2020 scheme) = -31.23 eV for the cell shown


# ThP2

A relaxed ThP2 crystal (PBE, the Materials Project database).

a = 7.2075 Å, b = 3.8628 Å, c = 9.4325 Å
α = 90.00°, β = 90.00°, γ = 90.00°
Closest atoms and distances in Å follow each position.
Element x y z (fractional)
1 Th 0.2013 0.2500 0.1535  9 P 2.93-3.06
2 Th 0.2987 0.7500 0.6535  9 P 2.93-3.06
3 Th 0.7013 0.2500 0.3465  9 P 2.93-3.06
4 Th 0.7987 0.7500 0.8465  9 P 2.93-3.06
5 P 0.0848 0.2500 0.4615  2 P 2.40
6 P 0.1046 0.2500 0.8414  5 Th 2.93-3.02, 2 P 3.17
7 P 0.3954 0.7500 0.3414  5 Th 2.93-3.02, 2 P 3.17
8 P 0.4152 0.7500 0.9615  2 P 2.40
9 P 0.5848 0.2500 0.0385  2 P 2.40
10 P 0.6046 0.2500 0.6586  5 Th 2.93-3.02, 2 P 3.17
11 P 0.8954 0.7500 0.1586  5 Th 2.93-3.02, 2 P 3.17
12 P 0.9152 0.7500 0.5385  2 P 2.40

E_tot = -21.5 eV per formula unit


# YGaCo

A relaxed YGaCo crystal (PBE, the Materials Project database).

a = 6.8616 Å, b = 4.2279 Å, c = 7.3749 Å
α = 90.00°, β = 90.00°, γ = 90.00°
Closest atoms and distances in Å follow each position.
Element x y z (fractional)
1 Y 0.0166 0.2500 0.1909  5 Co 2.89-3.09, 6 Ga 3.01-3.11
2 Y 0.4834 0.7500 0.6909  5 Co 2.89-3.09, 6 Ga 3.01-3.11
3 Y 0.5166 0.2500 0.3091  5 Co 2.89-3.09, 6 Ga 3.01-3.11
4 Y 0.9834 0.7500 0.8091  5 Co 2.89-3.09, 6 Ga 3.01-3.11
5 Ga 0.1732 0.2500 0.5781  4 Co 2.50-2.58
6 Ga 0.3268 0.7500 0.0781  4 Co 2.50-2.58
7 Ga 0.6732 0.2500 0.9219  4 Co 2.50-2.58
8 Ga 0.8268 0.7500 0.4219  4 Co 2.50-2.58
9 Co 0.2023 0.7500 0.3996  4 Ga 2.50-2.58
10 Co 0.2977 0.2500 0.8996  4 Ga 2.50-2.58
11 Co 0.7023 0.7500 0.1004  4 Ga 2.50-2.58
12 Co 0.7977 0.2500 0.6004  4 Ga 2.50-2.58

Total moment = 0.01 Bohr magnetons per cell
E_tot = -18.0 eV per formula unit


# Tl3Bi

A relaxed Tl3Bi crystal (PBE, the Materials Project database).

a = 5.0377 Å, b = 5.0377 Å, c = 5.0377 Å
α = 90.00°, β = 90.00°, γ = 90.00°
Closest atoms and distances in Å follow each position.
Element x y z (fractional)
1 Tl 0.0000 0.0000 0.5000  8 Tl 3.56, 4 Bi 3.56
2 Tl 0.0000 0.5000 0.0000  8 Tl 3.56, 4 Bi 3.56
3 Tl 0.5000 0.0000 0.0000  8 Tl 3.56, 4 Bi 3.56
4 Bi 0.5000 0.5000 0.5000  12 Tl 3.56

E_tot = -11.1 eV per formula unit
Energy relative to the lowest polymorph listed for this composition = 1 meV per atom


| no. | DFT formation energy (kJ/mol of atoms) |
| --- | --- |
| 1 | -92 |
| 2 | -144 |
| 3 | -104 |
| 4 | -45 |
| 5 | -3 |